LiNbVO4: optimized geometry, PBE+U.

Properties
Volume = 11.91 A^3/atom
DFT total energy = -0.289 Ha/atom
DFT formation energy = -2.6710 eV per atom
E above lowest polymorph = 0 meV per atom

Lattice parameters (Å, degrees): 6.167 6.167 8.771 90.00 90.00 90.00
Positions (direct):
O (0.498, 0.256, 0.246)
O (0.002, 0.254, 0.746)
O (0.502, 0.744, 0.746)
V (0.242, 0.500, 0.250)
O (0.744, 0.502, 0.504)
O (0.256, 0.502, 0.496)
Li (0.000, 0.230, 0.000)
V (0.500, 0.758, 0.500)
O (0.498, 0.744, 0.254)
Nb (0.253, 0.747, 0.875)
Nb (0.747, 0.747, 0.125)
Li (0.000, 0.770, 0.500)
O (0.254, 0.002, 0.504)
Li (0.770, 0.000, 0.750)
O (0.502, 0.256, 0.754)
O (0.002, 0.746, 0.754)
Nb (0.747, 0.253, 0.375)
O (0.254, 0.998, 0.996)
V (0.758, 0.500, 0.750)
V (0.500, 0.242, 0.000)
O (0.746, 0.998, 0.004)
O (0.744, 0.498, 0.996)
Li (0.230, 0.000, 0.250)
Nb (0.253, 0.253, 0.625)
O (0.998, 0.746, 0.246)
O (0.256, 0.498, 0.004)
O (0.998, 0.254, 0.254)
O (0.746, 0.002, 0.496)


Li9Nb7V12O48: optimized geometry, PBE+U.

Properties
Volume = 12.75 A^3/atom
DFT total energy = -0.279 Ha/atom
DFT formation energy = -2.5878 eV per atom
E above lowest polymorph = 2 meV per atom

Lattice parameters (Å, degrees): 5.208 10.545 17.650 90.49 90.39 90.16
Positions (direct):
O (0.091, 0.124, 0.782)
O (0.453, 0.612, 0.132)
V (0.225, 0.532, 0.344)
Nb (0.229, 0.933, 0.031)
Nb (0.235, 0.253, 0.700)
O (0.365, 0.886, 0.796)
Nb (0.584, 0.749, 0.751)
V (0.778, 0.031, 0.661)
V (0.283, 0.470, 0.840)
Li (0.750, 0.246, 0.809)
Li (0.909, 0.252, 0.253)
O (0.175, 0.383, 0.297)
Li (0.252, 0.576, 0.034)
O (0.581, 0.385, 0.880)
O (0.399, 0.627, 0.291)
Nb (0.763, 0.571, 0.477)
O (0.425, 0.885, 0.118)
O (0.073, 0.359, 0.778)
V (0.769, 0.750, 0.944)
O (0.401, 0.105, 0.034)
O (0.642, 0.124, 0.207)
O (0.541, 0.372, 0.707)
V (0.230, 0.969, 0.341)
O (0.064, 0.375, 0.629)
O (0.428, 0.380, 0.032)
Nb (0.765, 0.930, 0.476)
Li (0.246, 0.738, 0.200)
O (0.837, 0.883, 0.706)
Li (0.092, 0.754, 0.750)
O (0.940, 0.892, 0.375)
O (0.454, 0.250, 0.500)
V (0.718, 0.532, 0.158)
O (0.938, 0.260, 0.993)
Li (0.744, 0.081, 0.970)
O (0.102, 0.996, 0.924)
Nb (0.774, 0.422, 0.971)
O (0.176, 0.118, 0.297)
O (0.899, 0.493, 0.074)
V (0.282, 0.031, 0.843)
O (0.055, 0.764, 0.002)
V (0.785, 0.470, 0.661)
O (0.934, 0.608, 0.377)
O (0.599, 0.614, 0.965)
O (0.908, 0.622, 0.213)
O (0.422, 0.507, 0.425)
O (0.374, 0.753, 0.661)
O (0.897, 0.112, 0.464)
Li (0.256, 0.083, 0.529)
Nb (0.412, 0.252, 0.246)
Li (0.256, 0.417, 0.528)
O (0.068, 0.125, 0.633)
O (0.551, 0.136, 0.705)
O (0.919, 0.875, 0.213)
O (0.066, 0.499, 0.926)
O (0.632, 0.250, 0.346)
O (0.063, 0.882, 0.530)
O (0.638, 0.383, 0.209)
O (0.599, 0.515, 0.573)
V (0.715, 0.965, 0.165)
O (0.595, 0.750, 0.486)
V (0.301, 0.752, 0.558)
O (0.568, 0.874, 0.966)
O (0.426, 0.991, 0.422)
O (0.174, 0.248, 0.160)
O (0.896, 0.389, 0.464)
O (0.927, 0.997, 0.076)
O (0.599, 0.986, 0.571)
V (0.712, 0.250, 0.443)
O (0.367, 0.626, 0.795)
O (0.408, 0.880, 0.283)
O (0.549, 0.110, 0.869)
O (0.062, 0.619, 0.531)
Li (0.756, 0.746, 0.294)
O (0.837, 0.619, 0.707)
V (0.233, 0.252, 0.057)
O (0.831, 0.753, 0.845)


Li3NbV3O8: optimized geometry, PBE+U.

Properties
Volume = 10.21 A^3/atom
DFT total energy = -0.268 Ha/atom
DFT formation energy = -2.4908 eV per atom
E above lowest polymorph = 28 meV per atom

Lattice parameters (Å, degrees): 6.080 6.080 6.080 58.43 58.43 58.43
Positions (direct):
O (0.749, 0.240, 0.240)
V (0.500, 0.000, 0.500)
Li (0.500, 0.000, 0.000)
Li (0.000, 0.500, 0.000)
O (0.240, 0.749, 0.240)
O (0.760, 0.760, 0.251)
O (0.240, 0.240, 0.749)
O (0.258, 0.258, 0.258)
V (0.500, 0.500, 0.000)
Li (0.000, 0.000, 0.500)
O (0.251, 0.760, 0.760)
O (0.760, 0.251, 0.760)
V (0.000, 0.500, 0.500)
Nb (0.000, 0.000, 0.000)
O (0.742, 0.742, 0.742)


Li4NbV3O8: optimized geometry, PBE+U.

Properties
Volume = 9.77 A^3/atom
DFT total energy = -0.260 Ha/atom
DFT formation energy = -2.4503 eV per atom
E above lowest polymorph = 0 meV per atom

Lattice parameters (Å, degrees): 10.579 10.595 14.996 19.14 19.15 33.04
Positions (direct):
V (0.500, 0.000, 0.000)
Li (0.500, 0.500, 0.500)
O (0.497, 0.985, 0.266)
V (0.000, 0.500, 0.000)
Li (0.000, 0.000, 0.500)
V (0.500, 0.500, 0.000)
O (0.984, 0.497, 0.266)
O (0.500, 0.501, 0.253)
O (0.020, 0.021, 0.231)
O (0.980, 0.979, 0.769)
Li (0.500, 0.000, 0.500)
O (0.016, 0.502, 0.734)
O (0.504, 0.015, 0.734)
Nb (0.000, 0.000, 0.000)
O (0.500, 0.500, 0.747)
Li (0.000, 0.500, 0.500)


What did the fourth record say?
Li4NbV3O8: optimized geometry, PBE+U.

Properties
Volume = 9.77 A^3/atom
DFT total energy = -0.260 Ha/atom
DFT formation energy = -2.4503 eV per atom
E above lowest polymorph = 0 meV per atom

Lattice parameters (Å, degrees): 10.579 10.595 14.996 19.14 19.15 33.04
Positions (direct):
V (0.500, 0.000, 0.000)
Li (0.500, 0.500, 0.500)
O (0.497, 0.985, 0.266)
V (0.000, 0.500, 0.000)
Li (0.000, 0.000, 0.500)
V (0.500, 0.500, 0.000)
O (0.984, 0.497, 0.266)
O (0.500, 0.501, 0.253)
O (0.020, 0.021, 0.231)
O (0.980, 0.979, 0.769)
Li (0.500, 0.000, 0.500)
O (0.016, 0.502, 0.734)
O (0.504, 0.015, 0.734)
Nb (0.000, 0.000, 0.000)
O (0.500, 0.500, 0.747)
Li (0.000, 0.500, 0.500)


- Which value of volume does entry 2 give?
  12.75 A^3/atom


- The highest E above lowest polymorph belongs to which entry?
  Li3NbV3O8